1.
Er2Sn2O7 | r2SCAN | relaxed

Cell lengths 7.309, 7.309, 7.309 Å; angles 60.00, 60.00, 60.00 degrees
Sites, in units of the cell vectors:
1 Er 0.125 0.125 0.625
2 Er 0.125 0.625 0.125
3 Er 0.625 0.125 0.125
4 Er 0.125 0.125 0.125
5 Sn 0.625 0.625 0.125
6 Sn 0.625 0.125 0.625
7 Sn 0.125 0.625 0.625
8 Sn 0.625 0.625 0.625
9 O 0.250 0.250 0.250
10 O 0.000 0.000 0.000
11 O 0.535 0.965 0.535
12 O 0.285 0.715 0.285
13 O 0.535 0.535 0.965
14 O 0.965 0.535 0.535
15 O 0.535 0.965 0.965
16 O 0.965 0.965 0.535
17 O 0.965 0.535 0.965
18 O 0.715 0.285 0.285
19 O 0.285 0.715 0.715
20 O 0.715 0.285 0.715
21 O 0.285 0.285 0.715
22 O 0.715 0.715 0.285

## Properties
- Symmetry: Fd-3m, No. 227



2.
Er3TaO7 | r2SCAN | relaxed

Cell lengths 6.388, 6.388, 7.357 Å; angles 90.00, 90.00, 108.73 degrees
Sites, in units of the cell vectors:
1 Er 0.000 0.465 0.741
2 Er 0.535 0.000 0.759
3 Er 0.535 0.535 0.500
4 Er 0.465 0.465 0.000
5 Er 0.465 0.000 0.259
6 Er 0.000 0.535 0.241
7 Ta 0.002 0.002 0.500
8 Ta 0.998 0.998 0.000
9 O 0.071 0.929 0.250
10 O 0.052 0.311 0.455
11 O 0.084 0.331 0.025
12 O 0.360 0.640 0.250
13 O 0.371 0.629 0.750
14 O 0.331 0.084 0.975
15 O 0.311 0.052 0.545
16 O 0.689 0.948 0.045
17 O 0.669 0.916 0.475
18 O 0.629 0.371 0.250
19 O 0.640 0.360 0.750
20 O 0.916 0.669 0.525
21 O 0.948 0.689 0.955
22 O 0.929 0.071 0.750

## Properties
- Symmetry: C222_1, No. 20



3.
ErTa3O9 | r2SCAN | relaxed

Cell lengths 7.426, 5.218, 8.220 Å; angles 87.54, 90.00, 90.00 degrees
Sites, in units of the cell vectors:
1 Er 0.250 0.967 0.435
2 Er 0.750 0.033 0.565
3 Ta 0.000 0.000 0.000
4 Ta 0.500 0.000 0.000
5 Ta 0.008 0.528 0.697
6 Ta 0.492 0.528 0.697
7 Ta 0.992 0.472 0.303
8 Ta 0.508 0.472 0.303
9 O 0.250 0.896 0.977
10 O 0.933 0.856 0.783
11 O 0.567 0.856 0.783
12 O 0.955 0.744 0.467
13 O 0.545 0.744 0.467
14 O 0.250 0.671 0.652
15 O 0.942 0.671 0.118
16 O 0.558 0.671 0.118
17 O 0.250 0.581 0.313
18 O 0.750 0.419 0.687
19 O 0.058 0.329 0.882
20 O 0.442 0.329 0.882
21 O 0.750 0.329 0.348
22 O 0.045 0.256 0.533
23 O 0.455 0.256 0.533
24 O 0.067 0.144 0.217
25 O 0.433 0.144 0.217
26 O 0.750 0.104 0.023

## Properties
- Symmetry: P2_1/m, No. 11



4.
Er3TaO7 | r2SCAN | relaxed

Cell lengths 6.272, 6.384, 7.474 Å; angles 106.80, 89.71, 97.74 degrees
Sites, in units of the cell vectors:
1 Er 0.736 0.462 0.116
2 Er 0.733 0.456 0.608
3 Er 0.545 0.993 0.750
4 Er 0.455 0.007 0.250
5 Er 0.267 0.544 0.392
6 Er 0.264 0.538 0.884
7 Ta 0.000 0.000 0.000
8 Ta 0.000 0.000 0.500
9 O 0.707 0.069 0.481
10 O 0.920 0.676 0.952
11 O 0.706 0.074 0.052
12 O 0.926 0.666 0.390
13 O 0.906 0.950 0.737
14 O 0.556 0.347 0.834
15 O 0.539 0.361 0.341
16 O 0.461 0.639 0.659
17 O 0.444 0.653 0.166
18 O 0.094 0.050 0.263
19 O 0.074 0.334 0.610
20 O 0.294 0.926 0.948
21 O 0.080 0.324 0.048
22 O 0.293 0.931 0.519

## Properties
- Symmetry: P-1, No. 2



The following energy relative to the elements values (in eV/atom) correspond, in order, to the records above: -2.877; -3.770; -3.319; -3.775.